Record 1
VASP calculation (r²SCAN) on crystalline Rb3TlO3 at its relaxed geometry.

Its space group is P2_1/c, No. 14. The value obtained for the calculated total energy is -17.34 eV/atom.

a b c (Å): 7.829 7.155 11.511
angles (deg): 90.00 93.61 90.00
Atoms (fractional coordinates):
Rb1 0.059 0.132 0.156
Rb2 0.059 0.368 0.656
Rb3 0.360 0.182 0.925
Rb4 0.360 0.318 0.425
Rb5 0.368 0.701 0.810
Rb6 0.368 0.799 0.310
Rb7 0.632 0.201 0.690
Rb8 0.632 0.299 0.190
Rb9 0.640 0.682 0.575
Rb10 0.640 0.818 0.075
Rb11 0.941 0.632 0.344
Rb12 0.941 0.868 0.844
Tl1 0.165 0.595 0.070
Tl2 0.165 0.905 0.570
Tl3 0.835 0.095 0.430
Tl4 0.835 0.405 0.930
O1 0.109 0.038 0.395
O2 0.109 0.462 0.895
O3 0.259 0.633 0.537
O4 0.259 0.867 0.037
O5 0.309 0.066 0.696
O6 0.309 0.434 0.196
O7 0.691 0.566 0.804
O8 0.691 0.934 0.304
O9 0.741 0.133 0.963
O10 0.741 0.367 0.463
O11 0.891 0.538 0.105
O12 0.891 0.962 0.605



Record 2
VASP calculation (r²SCAN) on crystalline RbTl3O5 at its relaxed geometry.

Its space group is Pnma, No. 62. The value obtained for the calculated total energy is -23.54 eV/atom.

a b c (Å): 9.986 3.483 17.456
angles (deg): 90.00 90.00 90.00
Atoms (fractional coordinates):
Rb1 0.022 0.250 0.130
Rb2 0.478 0.750 0.630
Rb3 0.522 0.250 0.370
Rb4 0.978 0.750 0.870
Tl1 0.125 0.250 0.657
Tl2 0.154 0.750 0.486
Tl3 0.175 0.250 0.317
Tl4 0.325 0.750 0.817
Tl5 0.346 0.250 0.986
Tl6 0.375 0.750 0.157
Tl7 0.625 0.250 0.843
Tl8 0.654 0.750 0.014
Tl9 0.675 0.250 0.183
Tl10 0.825 0.750 0.683
Tl11 0.846 0.250 0.514
Tl12 0.875 0.750 0.343
O1 0.020 0.250 0.426
O2 0.050 0.750 0.271
O3 0.222 0.250 0.881
O4 0.224 0.750 0.706
O5 0.245 0.250 0.551
O6 0.255 0.750 0.051
O7 0.276 0.250 0.206
O8 0.278 0.750 0.381
O9 0.450 0.250 0.771
O10 0.480 0.750 0.926
O11 0.520 0.250 0.074
O12 0.550 0.750 0.229
O13 0.722 0.250 0.619
O14 0.724 0.750 0.794
O15 0.745 0.250 0.949
O16 0.755 0.750 0.449
O17 0.776 0.250 0.294
O18 0.778 0.750 0.119
O19 0.950 0.250 0.729
O20 0.980 0.750 0.574



| no. | volume (Å³/atom) | DFT formation energy (meV/atom) |
| --- | --- | --- |
| 1 | 22.98 | -1216 |
| 2 | 16.86 | -949 |